Entry 1:
First-principles (r²SCAN) data for crystalline SmAl3B4O12 at its relaxed geometry, as listed in the Materials Project database.

formation energy from the elements = -5985 kJ/mol of formula units
total DFT energy (no corrections) = -10.6509 eV per atom

a b c (Å): 5.899 5.899 5.899
angles (deg): 104.36 104.36 104.36
Fractional positions:
O: 0.123 0.275 0.528
O: 0.409 0.000 0.591
O: 0.149 0.000 0.851
B: 0.558 0.000 0.442
O: 0.851 0.149 0.000
O: 0.472 0.725 0.877
O: 0.275 0.528 0.123
O: 0.877 0.472 0.725
B: 0.000 0.442 0.558
O: 0.725 0.877 0.472
B: 0.000 0.000 0.000
Sm: 0.500 0.500 0.500
Al: 0.056 0.944 0.500
Al: 0.500 0.056 0.944
O: 0.000 0.591 0.409
O: 0.591 0.409 0.000
O: 0.528 0.123 0.275
B: 0.442 0.558 0.000
O: 0.000 0.851 0.149
Al: 0.944 0.500 0.056

---

Entry 2:
First-principles (r²SCAN) data for crystalline Mg5Zn at its relaxed geometry, as listed in the Materials Project database.

formation energy from the elements = 8 kJ/mol of formula units
total DFT energy (no corrections) = -4.9449 eV per atom

a b c (Å): 5.950 5.950 7.276
angles (deg): 74.93 74.93 30.08
Fractional positions:
Mg: 0.005 0.005 0.015
Mg: 0.323 0.323 0.332
Mg: 0.952 0.952 0.592
Mg: 0.667 0.667 0.665
Zn: 0.610 0.610 0.279
Mg: 0.277 0.277 0.951